Computed, not measured: MgAlBi12O20 after structural relaxation at the PBE-GGA level of DFT.

Calculated values
- formation energy (eV/atom) = -1.71
- total magnetic moment (μB/f.u.) = 0.0
- energy above the most stable polymorph in this dataset (eV per formula unit) = 1.08
- SG = C2, No. 5

abc: 9.235 9.149 9.235
angles: 112.11 104.34 112.52
Atoms (fractional coordinates):
O  0.250  0.207  0.249
O  0.871  0.605  0.216
O  0.085  0.353  0.718
O  0.952  0.293  0.958
O  0.602  0.183  0.872
O  0.612  0.395  0.267
O  0.222  0.865  0.620
O  0.688  0.817  0.419
O  0.760  0.427  0.638
O  0.042  0.793  0.043
O  0.056  0.004  0.866
O  0.392  0.299  0.625
O  0.754  0.135  0.357
O  0.665  0.707  0.659
O  0.007  0.993  0.382
O  0.390  0.007  0.014
O  0.365  0.647  0.732
O  0.862  0.996  0.052
O  0.327  0.701  0.094
O  0.211  0.573  0.333
Bi  0.426  0.795  0.600
Bi  0.241  0.447  0.100
Bi  0.128  0.827  0.308
Bi  0.806  0.205  0.631
Bi  0.653  0.553  0.794
Bi  0.481  0.173  0.301
Bi  0.809  0.318  0.129
Bi  0.189  0.692  0.863
Bi  0.172  0.308  0.498
Bi  0.337  0.130  0.855
Bi  0.811  0.682  0.491
Bi  0.725  0.870  0.208
Mg  0.834  0.000  0.834
Al  0.060  0.000  0.060